[1]
A relaxed Zr3ZnCu2 crystal, computed with PBE.

Values from the calculation:
Formation energy from the elements   -0.94 eV/f.u.
Total magnetic moment   0.0 μB/f.u.
Space group   No. 227
ρ   7.24 g/cm³

Cell: 8.458 8.458 8.458 Å, 60.00 60.00 60.00°
Positions (direct):
Zr 0.803 0.803 0.197
Zr 0.197 0.197 0.803
Zr 0.803 0.197 0.803
Zr 0.197 0.803 0.197
Zr 0.197 0.803 0.803
Zr 0.803 0.197 0.197
Zr 0.447 0.447 0.053
Zr 0.053 0.053 0.447
Zr 0.447 0.053 0.447
Zr 0.053 0.447 0.053
Zr 0.053 0.447 0.447
Zr 0.447 0.053 0.053
Zn 0.125 0.625 0.625
Zn 0.625 0.125 0.625
Zn 0.625 0.625 0.125
Zn 0.625 0.625 0.625
Cu 0.745 0.418 0.418
Cu 0.418 0.745 0.418
Cu 0.418 0.418 0.745
Cu 0.418 0.418 0.418
Cu 0.505 0.832 0.832
Cu 0.832 0.505 0.832
Cu 0.832 0.832 0.505
Cu 0.832 0.832 0.832

=====

[2]
A relaxed MgSn2 crystal, computed with PBE.

Values from the calculation:
Formation energy from the elements   -0.07 eV/f.u.
Total magnetic moment   0.0 μB/f.u.
Space group   No. 12
ρ   5.61 g/cm³

Cell: 5.943 5.943 8.029 Å, 68.46 68.46 36.31°
Positions (direct):
Mg 0.811 0.811 0.639
Mg 0.189 0.189 0.361
Sn 0.144 0.144 0.967
Sn 0.529 0.529 0.686
Sn 0.471 0.471 0.314
Sn 0.856 0.856 0.033

=====

[3]
A relaxed LiBH2O4 crystal, computed with PBE.

Values from the calculation:
Formation energy from the elements   -14.82 eV/f.u.
Total magnetic moment   0.0 μB/f.u.
Space group   No. 14
ρ   1.92 g/cm³

Cell: 7.996 5.139 7.122 Å, 82.46 90.00 90.00°
Positions (direct):
Li 0.826 0.941 0.095
Li 0.326 0.559 0.905
Li 0.174 0.059 0.905
Li 0.674 0.441 0.095
B 0.030 0.478 0.199
B 0.530 0.022 0.801
B 0.970 0.522 0.801
B 0.470 0.978 0.199
H 0.217 0.262 0.338
H 0.717 0.238 0.662
H 0.783 0.738 0.662
H 0.283 0.762 0.338
H 0.865 0.587 0.392
H 0.365 0.913 0.608
H 0.135 0.413 0.608
H 0.635 0.087 0.392
O 0.121 0.674 0.056
O 0.621 0.826 0.944
O 0.879 0.326 0.944
O 0.379 0.174 0.056
O 0.998 0.237 0.104
O 0.498 0.263 0.896
O 0.002 0.763 0.896
O 0.502 0.737 0.104
O 0.146 0.413 0.354
O 0.646 0.087 0.646
O 0.854 0.587 0.646
O 0.354 0.913 0.354
O 0.873 0.593 0.252
O 0.373 0.907 0.748
O 0.127 0.407 0.748
O 0.627 0.093 0.252

=====

[4]
A relaxed BiTeO4 crystal, computed with PBE.

Values from the calculation:
Formation energy from the elements   -6.10 eV/f.u.
Total magnetic moment   0.0 μB/f.u.
Space group   No. 1
ρ   6.90 g/cm³

Cell: 7.464 7.688 8.289 Å, 75.06 67.91 61.44°
Positions (direct):
Bi 0.279 0.869 0.748
Bi 0.494 0.967 0.095
Bi 0.728 0.348 0.775
Bi 0.774 0.980 0.484
Te 0.924 0.330 0.094
Te 0.215 0.454 0.671
Te 0.687 0.629 0.398
Te 0.268 0.527 0.181
O 0.814 0.024 0.843
O 0.705 0.294 0.052
O 0.973 0.673 0.192
O 0.553 0.923 0.347
O 0.119 0.529 0.475
O 0.624 0.779 0.670
O 0.391 0.653 0.545
O 0.361 0.584 0.916
O 0.641 0.620 0.184
O 0.839 0.268 0.339
O 0.271 0.278 0.158
O 0.065 0.271 0.760
O 0.492 0.230 0.634
O 0.946 0.929 0.679
O 0.202 0.900 0.206
O 0.136 0.023 0.051

=====

[5]
A relaxed Ta6Fe16Si7 crystal, computed with PBE.

Values from the calculation:
Formation energy from the elements   -12.92 eV/f.u.
Space group   No. 225
ρ   10.26 g/cm³

Cell: 7.925 7.925 7.925 Å, 60.00 60.00 60.00°
Positions (direct):
Ta 0.204 0.796 0.204
Ta 0.204 0.796 0.796
Ta 0.796 0.204 0.204
Ta 0.796 0.796 0.204
Ta 0.204 0.204 0.796
Ta 0.796 0.204 0.796
Fe 0.173 0.173 0.173
Fe 0.520 0.827 0.827
Fe 0.827 0.520 0.827
Fe 0.827 0.827 0.520
Fe 0.173 0.480 0.173
Fe 0.173 0.173 0.480
Fe 0.480 0.173 0.173
Fe 0.827 0.827 0.827
Fe 0.380 0.380 0.380
Fe 0.141 0.620 0.620
Fe 0.620 0.141 0.620
Fe 0.620 0.620 0.141
Fe 0.380 0.859 0.380
Fe 0.380 0.380 0.859
Fe 0.859 0.380 0.380
Fe 0.620 0.620 0.620
Si 0.500 0.500 0.500
Si 0.000 0.500 0.000
Si 0.500 0.000 0.000
Si 0.000 0.500 0.500
Si 0.500 0.000 0.500
Si 0.000 0.000 0.500
Si 0.500 0.500 0.000

=====

[6]
A relaxed MgSn3 crystal, computed with PBE.

Values from the calculation:
Formation energy from the elements   0.06 eV/f.u.
Total magnetic moment   0.0 μB/f.u.
Space group   No. 25
ρ   6.05 g/cm³

Cell: 3.339 5.586 5.602 Å, 90.00 90.00 90.00°
Positions (direct):
Mg 0.000 0.336 0.500
Sn 0.000 0.006 0.000
Sn 0.500 0.494 0.000
Sn 0.500 0.830 0.500